This record from Materials Project describes a relaxed Lu3GaC crystal. The functional is meta-GGA r2SCAN.

```
Lu3GaC
1.0
-0.644 -0.134 4.639
-1.923 -4.255 -0.390
4.224 -1.958 0.530
Lu Ga C
3 1 1
direct
0.000 0.500 0.000
0.000 0.000 0.500
0.500 0.000 0.000
0.500 0.500 0.500
0.000 0.000 0.000
```

Properties
For the total energy, the calculation gives -139.12 eV per cell. For the total magnetization, the calculation gives 0.0 μB per formula unit. The calculation puts the energy relative to the elements at -699 meV per atom.